First-principles (PBE) data for a relaxed Ce2Sn5 crystal, as listed in the Materials Project database.

Properties
energy relative to the elements: -0.557 eV per atom
SG: Cmmm
total DFT energy (no corrections): -35.8 eV/f.u.
crystal system: orthorhombic

Cell and atoms, written as CIF:
```
data_Ce2Sn5
_chemical_formula_sum 'Ce4 Sn10'
_cell_length_a 17.531
_cell_length_b 17.531
_cell_length_c 4.664
_cell_angle_alpha 90.00
_cell_angle_beta 90.00
_cell_angle_gamma 164.80
_space_group_name_H-M_alt 'P 1'
_space_group_IT_number 1
loop_
_space_group_symop_operation_xyz
'x,y,z'
loop_
_atom_site_label
_atom_site_fract_x
_atom_site_fract_y
_atom_site_fract_z
_atom_site_occupancy
Sn1 0.137 0.863 0.000 1
Sn2 0.930 0.070 0.500 1
Sn3 0.500 0.500 0.500 1
Sn4 0.780 0.220 0.500 1
Sn5 0.863 0.137 0.000 1
Sn6 0.220 0.780 0.500 1
Sn7 0.000 0.000 0.000 1
Sn8 0.070 0.930 0.500 1
Sn9 0.362 0.638 0.500 1
Sn10 0.638 0.362 0.500 1
Ce1 0.432 0.568 0.000 1
Ce2 0.297 0.703 0.000 1
Ce3 0.568 0.432 0.000 1
Ce4 0.703 0.297 0.000 1
```